{"formula": "Mn2CuO4", "functional": "PBE with a Hubbard U", "state": "optimized geometry", "cell": [[0.000, 4.259, 4.259], [4.259, 0.000, 4.259], [4.259, 4.259, 0.000]], "species": ["O", "O", "Mn", "O", "O", "Mn", "Mn", "O", "O", "Mn", "Cu", "O", "O", "Cu"], "fractional_positions": [[0.864, 0.408, 0.864], [0.386, 0.386, 0.386], [0.625, 0.625, 0.125], [0.408, 0.864, 0.864], [0.864, 0.864, 0.408], [0.625, 0.125, 0.625], [0.625, 0.625, 0.625], [0.386, 0.386, 0.842], [0.842, 0.386, 0.386], [0.125, 0.625, 0.625], [0.250, 0.250, 0.250], [0.386, 0.842, 0.386], [0.864, 0.864, 0.864], [0.000, 0.000, 0.000]], "e_tot_ev_per_atom": -6.8268, "crystal_system": "cubic", "e_above_lowest_polymorph_mev_per_atom": 13.4}